Entry 1:
Compound: CrFeO3
Source: the Materials Project database
Functional: r²SCAN
Structure: relaxed

CIF file:
```
data_CrFeO3
_chemical_formula_sum 'Cr6 Fe6 O18'
_space_group_name_H-M_alt 'R -3'
_space_group_IT_number 148
_space_group_name_Hall '-R 3'
_cell_length_a 5.0462
_cell_length_b 5.0462
_cell_length_c 13.6728
_cell_angle_alpha 90.00
_cell_angle_beta 90.00
_cell_angle_gamma 120.00
loop_
_atom_site_label
_atom_site_type_symbol
_atom_site_fract_x
_atom_site_fract_y
_atom_site_fract_z
_atom_site_occupancy
Cr1 Cr 0.0000 0.0000 0.1548 1
Fe1 Fe 0.0000 0.0000 0.3589 1
O1 O 0.0020 0.3057 0.7511 1
```

Properties
energy of formation from the pure elements = -9.871 eV per formula unit
size of the total moment = 1.600 μB/atom

Entry 2:
Compound: Y2CrFeO6
Source: the Materials Project database
Functional: r²SCAN
Structure: relaxed

CIF file:
```
data_Y2CrFeO6
_chemical_formula_sum 'Y4 Cr2 Fe2 O12'
_space_group_name_H-M_alt 'P 1 21/c 1'
_space_group_IT_number 14
_cell_length_a 5.270
_cell_length_b 5.574
_cell_length_c 9.227
_cell_angle_alpha 90.00
_cell_angle_beta 124.75
_cell_angle_gamma 90.00
loop_
_space_group_symop_operation_xyz
'x,y,z'
'-x,-y,-z'
'-x,y+1/2,-z+1/2'
'x,-y+1/2,z+1/2'
loop_
_atom_site_label
_atom_site_type_symbol
_atom_site_fract_x
_atom_site_fract_y
_atom_site_fract_z
_atom_site_occupancy
Y1 Y 0.232 0.069 0.250 1
Cr1 Cr 0.000 0.000 0.500 1
Fe1 Fe 0.500 0.000 0.000 1
O1 O 0.135 0.198 0.944 1
O2 O 0.250 0.695 0.944 1
O3 O 0.359 0.038 0.749 1
```

Properties
energy of formation from the pure elements = -30.088 eV per formula unit
size of the total moment = 0.800 μB/atom

Entry 3:
Compound: CrGa4
Source: the Materials Project database
Functional: r²SCAN
Structure: relaxed

CIF file:
```
data_CrGa4
_chemical_formula_sum 'Cr2 Ga8'
_space_group_name_H-M_alt 'I m -3 m'
_space_group_IT_number 229
_space_group_name_Hall '-I 4 2 3'
_cell_length_a 5.598
_cell_length_b 5.598
_cell_length_c 5.598
_cell_angle_alpha 90.00
_cell_angle_beta 90.00
_cell_angle_gamma 90.00
loop_
_atom_site_label
_atom_site_type_symbol
_atom_site_fract_x
_atom_site_fract_y
_atom_site_fract_z
_atom_site_occupancy
Cr1 Cr 0.000 0.000 0.000 1
Ga1 Ga 0.250 0.250 0.250 1
```

Properties
energy of formation from the pure elements = -0.525 eV per formula unit
size of the total moment = 0.000 μB/atom

Entry 4:
Compound: CrGaRh2
Source: the Materials Project database
Functional: r²SCAN
Structure: relaxed

CIF file:
```
data_CrGaRh2
_chemical_formula_sum 'Cr4 Ga4 Rh8'
_space_group_name_H-M_alt 'F m -3 m'
_space_group_IT_number 225
_space_group_name_Hall '-F 4 2 3'
_cell_length_a 6.018
_cell_length_b 6.018
_cell_length_c 6.018
_cell_angle_alpha 90.00
_cell_angle_beta 90.00
_cell_angle_gamma 90.00
loop_
_atom_site_label
_atom_site_type_symbol
_atom_site_fract_x
_atom_site_fract_y
_atom_site_fract_z
_atom_site_occupancy
Cr1 Cr 0.000 0.000 0.000 1
Ga1 Ga 0.000 0.000 0.500 1
Rh1 Rh 0.250 0.250 0.250 1
```

Properties
energy of formation from the pure elements = -1.944 eV per formula unit
size of the total moment = 0.778 μB/atom

Entry 5:
Compound: Cr3GaS6
Source: the Materials Project database
Functional: r²SCAN
Structure: relaxed

CIF file:
```
data_Cr3GaS6
_chemical_formula_sum 'Cr12 Ga4 S24'
_space_group_name_H-M_alt 'P 3 m 1'
_space_group_IT_number 156
_cell_length_a 7.0416
_cell_length_b 7.0416
_cell_length_c 17.2714
_cell_angle_alpha 90.00
_cell_angle_beta 90.00
_cell_angle_gamma 120.00
loop_
_space_group_symop_operation_xyz
'x,y,z'
'-y,x-y,z'
'-x+y,-x,z'
'-y,-x,z'
'-x+y,y,z'
'x,x-y,z'
loop_
_atom_site_label
_atom_site_type_symbol
_atom_site_fract_x
_atom_site_fract_y
_atom_site_fract_z
_atom_site_occupancy
Cr1 Cr 0.0000 0.0000 0.0000 1
Cr2 Cr 0.1693 0.3386 0.8261 1
Cr3 Cr 0.3146 0.1573 0.1561 1
Cr4 Cr 0.3333 0.6667 0.6556 1
Cr5 Cr 0.5045 0.0091 0.4858 1
Cr6 Cr 0.6667 0.3333 0.3292 1
Ga1 Ga 0.0000 0.0000 0.6152 1
Ga2 Ga 0.3333 0.6667 0.2782 1
Ga3 Ga 0.6667 0.3333 0.6976 1
Ga4 Ga 0.6667 0.3333 0.9535 1
S1 S 0.0000 0.0000 0.2334 1
S2 S 0.0000 0.0000 0.7497 1
S3 S 0.0235 0.5118 0.7431 1
S4 S 0.1557 0.3113 0.0768 1
S5 S 0.1780 0.3560 0.5711 1
S6 S 0.3108 0.1554 0.9049 1
S7 S 0.3333 0.6667 0.4147 1
S8 S 0.3333 0.6667 0.8981 1
S9 S 0.3558 0.1779 0.4111 1
S10 S 0.5117 0.0235 0.2379 1
S11 S 0.6667 0.3333 0.0836 1
S12 S 0.6667 0.3333 0.5659 1
```

Properties
energy of formation from the pure elements = -9.660 eV per formula unit
size of the total moment = 0.889 μB/atom

Entry 6:
Compound: Cr3Ge
Source: the Materials Project database
Functional: r²SCAN
Structure: relaxed

CIF file:
```
data_Cr3Ge
_chemical_formula_sum 'Cr6 Ge2'
_space_group_name_H-M_alt 'P m -3 n'
_space_group_IT_number 223
_space_group_name_Hall '-P 4n 2 3'
_cell_length_a 4.549
_cell_length_b 4.549
_cell_length_c 4.549
_cell_angle_alpha 90.00
_cell_angle_beta 90.00
_cell_angle_gamma 90.00
loop_
_atom_site_label
_atom_site_type_symbol
_atom_site_fract_x
_atom_site_fract_y
_atom_site_fract_z
_atom_site_occupancy
Cr1 Cr 0.000 0.250 0.500 1
Ge1 Ge 0.000 0.000 0.000 1
```

Properties
energy of formation from the pure elements = 0.369 eV per formula unit
size of the total moment = 0.000 μB/atom

Entry 7:
Compound: LaCrGe3
Source: the Materials Project database
Functional: r²SCAN
Structure: relaxed

CIF file:
```
data_LaCrGe3
_chemical_formula_sum 'La2 Cr2 Ge6'
_space_group_name_H-M_alt 'P 63/m m c'
_space_group_IT_number 194
_space_group_name_Hall '-P 6c 2c'
_cell_length_a 6.1748
_cell_length_b 6.1748
_cell_length_c 5.9682
_cell_angle_alpha 90.00
_cell_angle_beta 90.00
_cell_angle_gamma 120.00
loop_
_atom_site_label
_atom_site_type_symbol
_atom_site_fract_x
_atom_site_fract_y
_atom_site_fract_z
_atom_site_occupancy
La1 La 0.3333 0.6667 0.2500 1
Cr1 Cr 0.0000 0.0000 0.0000 1
Ge1 Ge 0.1947 0.3895 0.7500 1
```

Properties
energy of formation from the pure elements = -2.437 eV per formula unit
size of the total moment = 0.451 μB/atom

Entry 8:
Compound: CrGeTe3
Source: the Materials Project database
Functional: r²SCAN
Structure: relaxed

CIF file:
```
data_CrGeTe3
_chemical_formula_sum 'Cr6 Ge6 Te18'
_space_group_name_H-M_alt 'R -3'
_space_group_IT_number 148
_space_group_name_Hall '-R 3'
_cell_length_a 6.9036
_cell_length_b 6.9036
_cell_length_c 21.5836
_cell_angle_alpha 90.00
_cell_angle_beta 90.00
_cell_angle_gamma 120.00
loop_
_atom_site_label
_atom_site_type_symbol
_atom_site_fract_x
_atom_site_fract_y
_atom_site_fract_z
_atom_site_occupancy
Cr1 Cr 0.0000 0.0000 0.1662 1
Ge1 Ge 0.0000 0.0000 0.4448 1
Te1 Te 0.0018 0.6332 0.4198 1
```

Properties
energy of formation from the pure elements = -1.547 eV per formula unit
size of the total moment = 0.600 μB/atom

Entry 9:
Compound: CrH
Source: the Materials Project database
Functional: r²SCAN
Structure: relaxed

CIF file:
```
data_CrH
_chemical_formula_sum 'Cr4 H4'
_space_group_name_H-M_alt 'F m -3 m'
_space_group_IT_number 225
_space_group_name_Hall '-F 4 2 3'
_cell_length_a 3.755
_cell_length_b 3.755
_cell_length_c 3.755
_cell_angle_alpha 90.00
_cell_angle_beta 90.00
_cell_angle_gamma 90.00
loop_
_atom_site_label
_atom_site_type_symbol
_atom_site_fract_x
_atom_site_fract_y
_atom_site_fract_z
_atom_site_occupancy
Cr1 Cr 0.000 0.000 0.000 1
H1 H 0.000 0.000 0.500 1
```

Properties
energy of formation from the pure elements = 0.371 eV per formula unit
size of the total moment = 0.006 μB/atom

Entry 10:
Compound: HfCrP
Source: the Materials Project database
Functional: r²SCAN
Structure: relaxed

CIF file:
```
data_HfCrP
_chemical_formula_sum 'Hf4 Cr4 P4'
_space_group_name_H-M_alt 'P n m a'
_space_group_IT_number 62
_cell_length_a 6.338
_cell_length_b 3.625
_cell_length_c 7.528
_cell_angle_alpha 90.00
_cell_angle_beta 90.00
_cell_angle_gamma 90.00
loop_
_space_group_symop_operation_xyz
'x,y,z'
'-x,-y,-z'
'-x+1/2,-y,z+1/2'
'x+1/2,y,-z+1/2'
'x+1/2,-y+1/2,-z+1/2'
'-x+1/2,y+1/2,z+1/2'
'-x,y+1/2,-z'
'x,-y+1/2,z'
loop_
_atom_site_label
_atom_site_type_symbol
_atom_site_fract_x
_atom_site_fract_y
_atom_site_fract_z
_atom_site_occupancy
Hf1 Hf 0.030 0.250 0.175 1
Cr1 Cr 0.144 0.250 0.562 1
P1 P 0.227 0.750 0.371 1
```

Properties
energy of formation from the pure elements = -2.647 eV per formula unit
size of the total moment = 0.483 μB/atom

Entry 11:
Compound: Hf2Cr4Si5
Source: the Materials Project database
Functional: r²SCAN
Structure: relaxed

CIF file:
```
data_Hf2Cr4Si5
_chemical_formula_sum 'Hf8 Cr16 Si20'
_space_group_name_H-M_alt 'I b a m'
_space_group_IT_number 72
_space_group_name_Hall '-I 2 2c'
_cell_length_a 7.514
_cell_length_b 15.950
_cell_length_c 4.887
_cell_angle_alpha 90.00
_cell_angle_beta 90.00
_cell_angle_gamma 90.00
loop_
_atom_site_label
_atom_site_type_symbol
_atom_site_fract_x
_atom_site_fract_y
_atom_site_fract_z
_atom_site_occupancy
Hf1 Hf 0.121 0.141 0.000 1
Cr1 Cr 0.000 0.308 0.250 1
Cr2 Cr 0.248 0.438 0.000 1
Si1 Si 0.000 0.000 0.250 1
Si2 Si 0.074 0.436 0.500 1
Si3 Si 0.209 0.211 0.500 1
```

Properties
energy of formation from the pure elements = -4.953 eV per formula unit
size of the total moment = 0.000 μB/atom

Entry 12:
Compound: Ho3CrS6
Source: the Materials Project database
Functional: r²SCAN
Structure: relaxed

CIF file:
```
data_Ho3CrS6
_chemical_formula_sum 'Ho12 Cr4 S24'
_space_group_name_H-M_alt 'P n n m'
_space_group_IT_number 58
_cell_length_a 13.244
_cell_length_b 15.895
_cell_length_c 3.745
_cell_angle_alpha 90.00
_cell_angle_beta 90.00
_cell_angle_gamma 90.00
loop_
_space_group_symop_operation_xyz
'x,y,z'
'-x,-y,-z'
'-x,-y,z'
'x,y,-z'
'x+1/2,-y+1/2,-z+1/2'
'-x+1/2,y+1/2,z+1/2'
'-x+1/2,y+1/2,-z+1/2'
'x+1/2,-y+1/2,z+1/2'
loop_
_atom_site_label
_atom_site_type_symbol
_atom_site_fract_x
_atom_site_fract_y
_atom_site_fract_z
_atom_site_occupancy
Ho1 Ho 0.049 0.221 0.000 1
Ho2 Ho 0.182 0.647 0.000 1
Ho3 Ho 0.244 0.901 0.500 1
Cr1 Cr 0.000 0.000 0.500 1
Cr2 Cr 0.000 0.500 0.500 1
S1 S 0.021 0.402 0.000 1
S2 S 0.083 0.924 0.000 1
S3 S 0.104 0.753 0.500 1
S4 S 0.119 0.109 0.500 1
S5 S 0.181 0.520 0.500 1
S6 S 0.188 0.290 0.500 1
```

Properties
energy of formation from the pure elements = -20.369 eV per formula unit
size of the total moment = 0.300 μB/atom

Entry 13:
Compound: CrI3
Source: the Materials Project database
Functional: r²SCAN
Structure: relaxed

CIF file:
```
data_CrI3
_chemical_formula_sum 'Cr6 I18'
_space_group_name_H-M_alt 'P 31 1 2'
_space_group_IT_number 151
_cell_length_a 6.9685
_cell_length_b 6.9685
_cell_length_c 20.7559
_cell_angle_alpha 90.00
_cell_angle_beta 90.00
_cell_angle_gamma 120.00
loop_
_space_group_symop_operation_xyz
'x,y,z'
'-y,x-y,z+1/3'
'-x+y,-x,z+2/3'
'-y,-x,-z+2/3'
'-x+y,y,-z+1/3'
'x,x-y,-z'
loop_
_atom_site_label
_atom_site_type_symbol
_atom_site_fract_x
_atom_site_fract_y
_atom_site_fract_z
_atom_site_occupancy
Cr1 Cr 0.2210 0.1105 0.0000 1
Cr2 Cr 0.2226 0.4452 0.6667 1
I1 I 0.2000 0.4442 0.4087 1
I2 I 0.2009 0.0887 0.2582 1
I3 I 0.5318 0.0879 0.9243 1
```

Properties
energy of formation from the pure elements = -2.611 eV per formula unit
size of the total moment = 0.750 μB/atom

Entry 14:
Compound: CrIr
Source: the Materials Project database
Functional: r²SCAN
Structure: relaxed

CIF file:
```
data_CrIr
_chemical_formula_sum 'Cr1 Ir1'
_space_group_name_H-M_alt 'P -6 m 2'
_space_group_IT_number 187
_space_group_name_Hall 'P -6 2'
_cell_length_a 2.6675
_cell_length_b 2.6675
_cell_length_c 4.1997
_cell_angle_alpha 90.00
_cell_angle_beta 90.00
_cell_angle_gamma 120.00
loop_
_atom_site_label
_atom_site_type_symbol
_atom_site_fract_x
_atom_site_fract_y
_atom_site_fract_z
_atom_site_occupancy
Cr1 Cr 0.0000 0.0000 0.0000 1
Ir1 Ir 0.6667 0.3333 0.5000 1
```

Properties
energy of formation from the pure elements = 0.014 eV per formula unit
size of the total moment = 0.000 μB/atom

Entry 15:
Compound: Cr3Ir
Source: the Materials Project database
Functional: r²SCAN
Structure: relaxed

CIF file:
```
data_Cr3Ir
_chemical_formula_sum 'Cr6 Ir2'
_space_group_name_H-M_alt 'P m -3 n'
_space_group_IT_number 223
_space_group_name_Hall '-P 4n 2 3'
_cell_length_a 4.615
_cell_length_b 4.615
_cell_length_c 4.615
_cell_angle_alpha 90.00
_cell_angle_beta 90.00
_cell_angle_gamma 90.00
loop_
_atom_site_label
_atom_site_type_symbol
_atom_site_fract_x
_atom_site_fract_y
_atom_site_fract_z
_atom_site_occupancy
Cr1 Cr 0.000 0.250 0.500 1
Ir1 Ir 0.000 0.000 0.000 1
```

Properties
energy of formation from the pure elements = 0.562 eV per formula unit
size of the total moment = 0.000 μB/atom

Entry 16:
Compound: Cr3IrN
Source: the Materials Project database
Functional: r²SCAN
Structure: relaxed

CIF file:
```
data_Cr3IrN
_chemical_formula_sum 'Cr3 Ir1 N1'
_space_group_name_H-M_alt 'P 4/m m m'
_space_group_IT_number 123
_space_group_name_Hall '-P 4 2'
_cell_length_a 3.876
_cell_length_b 3.876
_cell_length_c 3.894
_cell_angle_alpha 90.00
_cell_angle_beta 90.00
_cell_angle_gamma 90.00
loop_
_atom_site_label
_atom_site_type_symbol
_atom_site_fract_x
_atom_site_fract_y
_atom_site_fract_z
_atom_site_occupancy
Cr1 Cr 0.000 0.000 0.000 1
Cr2 Cr 0.000 0.500 0.500 1
Ir1 Ir 0.500 0.500 0.000 1
N1 N 0.000 0.000 0.500 1
```

Properties
energy of formation from the pure elements = -1.788 eV per formula unit
size of the total moment = 0.298 μB/atom

Entry 17:
Compound: Ti2CrIr
Source: the Materials Project database
Functional: r²SCAN
Structure: relaxed

CIF file:
```
data_Ti2CrIr
_chemical_formula_sum 'Ti8 Cr4 Ir4'
_space_group_name_H-M_alt 'F m -3 m'
_space_group_IT_number 225
_space_group_name_Hall '-F 4 2 3'
_cell_length_a 6.142
_cell_length_b 6.142
_cell_length_c 6.142
_cell_angle_alpha 90.00
_cell_angle_beta 90.00
_cell_angle_gamma 90.00
loop_
_atom_site_label
_atom_site_type_symbol
_atom_site_fract_x
_atom_site_fract_y
_atom_site_fract_z
_atom_site_occupancy
Ti1 Ti 0.250 0.250 0.250 1
Cr1 Cr 0.000 0.000 0.000 1
Ir1 Ir 0.000 0.000 0.500 1
```

Properties
energy of formation from the pure elements = -2.331 eV per formula unit
size of the total moment = 0.210 μB/atom

Entry 18:
Compound: KLaCr2O8
Source: the Materials Project database
Functional: r²SCAN
Structure: relaxed

CIF file:
```
data_KLaCr2O8
_chemical_formula_sum 'K4 La4 Cr8 O32'
_space_group_name_H-M_alt 'P 1 21/c 1'
_space_group_IT_number 14
_cell_length_a 8.680
_cell_length_b 7.480
_cell_length_c 11.044
_cell_angle_alpha 90.00
_cell_angle_beta 92.54
_cell_angle_gamma 90.00
loop_
_space_group_symop_operation_xyz
'x,y,z'
'-x,-y,-z'
'-x,y+1/2,-z+1/2'
'x,-y+1/2,z+1/2'
loop_
_atom_site_label
_atom_site_type_symbol
_atom_site_fract_x
_atom_site_fract_y
_atom_site_fract_z
_atom_site_occupancy
K1 K 0.069 0.153 0.337 1
La1 La 0.440 0.663 0.655 1
Cr1 Cr 0.215 0.666 0.411 1
Cr2 Cr 0.305 0.162 0.606 1
O1 O 0.082 0.525 0.370 1
O2 O 0.122 0.132 0.605 1
O3 O 0.189 0.746 0.045 1
O4 O 0.236 0.678 0.806 1
O5 O 0.353 0.160 0.191 1
O6 O 0.360 0.186 0.467 1
O7 O 0.383 0.562 0.438 1
O8 O 0.403 0.503 0.177 1
```

Properties
energy of formation from the pure elements = -29.179 eV per formula unit
size of the total moment = 0.000 μB/atom

| no. | total DFT energy (no corrections) (eV/f.u.) | calculated volume (Å³/cell) |
| --- | --- | --- |
| 1 | -57.3 | 301.6 |
| 2 | -136.0 | 222.7 |
| 3 | -61.4 | 175.4 |
| 4 | -76.7 | 217.9 |
| 5 | -114.5 | 741.6 |
| 6 | -58.7 | 94.2 |
| 7 | -88.9 | 197.1 |
| 8 | -106.7 | 890.9 |
| 9 | -18.2 | 52.9 |
| 10 | -71.9 | 173.0 |
| 11 | -199.4 | 585.7 |
| 12 | -182.3 | 788.4 |
| 13 | -91.4 | 872.9 |
| 14 | -67.4 | 25.9 |
| 15 | -97.0 | 98.3 |
| 16 | -108.5 | 58.5 |
| 17 | -95.6 | 231.7 |
| 18 | -142.9 | 716.3 |